First-principles (PBE) data for a geometry-optimized Y3Si3Rh structure, as listed in Materials Project.

**Final energy**: -99.32 eV/cell
**Density**: 5283 kg/m³
**SG**: C2/m

Structure (POSCAR):
```
Y3Si3Rh
1.0
2.1183 5.3024 0.0000
-2.1183 5.3024 0.0000
0.0000 4.8266 12.7010
Y Si Rh
6 6 2
direct
0.6025 0.6025 0.0789
0.3975 0.3975 0.9211
0.5216 0.5216 0.6247
0.4784 0.4784 0.3753
0.2570 0.2570 0.2273
0.7430 0.7430 0.7727
0.9529 0.9529 0.2366
0.0471 0.0471 0.7634
0.8694 0.8694 0.5439
0.1306 0.1306 0.4561
0.1130 0.1130 0.9248
0.8870 0.8870 0.0752
0.7534 0.7534 0.4155
0.2466 0.2466 0.5845
```


First-principles (PBE) data for a geometry-optimized Sm5Rh4 structure, as listed in Materials Project.

**Final energy**: -237.49 eV/cell
**Density**: 9026 kg/m³
**SG**: Pnma

Structure (POSCAR):
```
Sm5Rh4
1.0
-7.1820 0.8229 -2.0010
-2.0559 -5.1609 5.2567
-1.5612 10.8921 10.0831
Sm Rh
20 16
direct
0.6617 0.1680 0.6223
0.1617 0.3320 0.8777
0.3383 0.8320 0.1223
0.8383 0.6680 0.3777
0.3383 0.8320 0.3777
0.8383 0.6680 0.1223
0.6617 0.1680 0.8777
0.1617 0.3320 0.6223
0.5086 0.6804 0.5925
0.0086 0.8196 0.9075
0.4914 0.3196 0.0925
0.9914 0.1804 0.4075
0.4914 0.3196 0.4075
0.9914 0.1804 0.0925
0.5086 0.6804 0.9075
0.0086 0.8196 0.5925
0.8211 0.5134 0.7500
0.3211 0.9866 0.7500
0.1789 0.4866 0.2500
0.6789 0.0134 0.2500
0.6795 0.9700 0.4596
0.1795 0.5300 0.0404
0.3205 0.0300 0.9596
0.8205 0.4700 0.5404
0.3205 0.0300 0.5404
0.8205 0.4700 0.9596
0.6795 0.9700 0.0404
0.1795 0.5300 0.4596
0.4578 0.3934 0.7500
0.9578 0.1066 0.7500
0.5422 0.6066 0.2500
0.0422 0.8934 0.2500
0.6966 0.8590 0.7500
0.1966 0.6410 0.7500
0.3034 0.1410 0.2500
0.8034 0.3590 0.2500
```


First-principles (PBE) data for a geometry-optimized SmSnRh structure, as listed in Materials Project.

**Final energy**: -56.11 eV/cell
**Density**: 9290 kg/m³
**SG**: P-62m

Structure (POSCAR):
```
SmSnRh
1.0
2.0066 3.2851 -1.0763
6.1026 -2.4947 3.7630
-0.9547 -1.8117 -7.3097
Sm Sn Rh
3 3 3
direct
0.5000 0.5916 0.5916
0.5000 0.0000 0.4084
0.5000 0.4084 0.0000
0.0000 0.2567 0.2567
0.0000 0.0000 0.7433
0.0000 0.7433 0.0000
0.0000 0.6667 0.3333
0.0000 0.3333 0.6667
0.5000 0.0000 0.0000
```


- What is the final energy in the first record?
  -99.32 eV/cell